(P)
Si2H25C10N (PBE-GGA, relaxed); space-group type = P1
1.0
9.085 0.000 0.000
0.000 13.129 0.000
-4.542 0.000 12.650
Si H C N
8 100 40 4
Cartesian
0.000 0.000 0.000
-2.255 4.506 6.289
-0.340 11.132 2.667
-2.582 6.471 9.009
1.367 13.000 2.867
-0.871 4.596 9.164
1.006 10.979 5.515
-1.206 6.610 11.831
-1.039 4.116 3.446
-3.253 0.419 9.832
-1.713 11.804 6.525
0.607 5.886 0.246
-1.336 3.324 6.153
-0.145 8.642 2.867
-3.587 1.235 12.501
-2.386 8.964 9.183
-1.104 0.027 5.623
-3.357 4.421 11.962
-2.367 2.752 10.063
-0.073 1.803 3.716
0.911 4.272 1.080
-1.326 0.186 7.365
-1.218 8.336 8.035
0.099 6.751 4.398
-2.167 10.878 10.783
1.110 9.338 1.719
-0.176 6.554 6.154
-2.460 11.034 12.540
1.155 2.352 2.560
-2.175 7.724 11.935
0.102 9.874 5.595
-1.045 2.146 8.898
0.453 5.264 5.242
-1.797 12.377 11.583
2.075 6.923 1.965
-0.178 10.663 8.266
-0.661 2.545 10.536
1.608 1.933 4.285
0.106 12.235 9.027
2.414 5.450 2.734
1.237 0.927 6.036
-0.946 3.568 12.397
0.961 1.042 7.842
3.259 3.446 1.478
2.298 8.550 4.270
0.074 9.011 10.561
1.105 3.949 7.796
3.409 0.531 1.507
1.160 5.690 8.275
3.453 11.923 2.014
0.772 7.591 9.857
1.946 8.360 6.659
4.200 9.268 0.415
3.072 9.995 3.570
3.704 6.471 2.225
1.490 11.215 8.563
4.627 4.410 0.838
1.540 4.360 9.453
2.393 0.101 7.247
3.863 0.131 3.153
0.706 0.475 12.032
3.000 4.015 5.736
4.697 8.016 1.481
2.454 9.602 7.794
4.000 8.852 4.496
1.806 8.767 10.841
1.677 5.781 11.443
1.874 2.432 11.080
4.029 11.851 5.160
1.858 12.406 11.212
4.180 2.141 4.802
4.162 5.140 4.913
5.983 5.897 0.519
5.921 8.951 0.709
3.730 11.778 6.875
3.712 8.698 7.016
3.886 5.299 6.694
6.176 12.342 0.327
3.790 2.358 7.251
6.079 2.226 0.939
3.069 1.444 10.273
5.378 3.024 3.907
4.813 10.599 6.102
2.568 7.045 12.412
3.984 6.688 8.595
3.187 10.911 10.935
5.518 6.659 4.558
6.345 10.937 2.283
6.373 4.561 3.255
4.141 12.993 9.550
5.856 1.740 5.078
3.595 2.684 11.371
4.746 3.433 8.245
7.025 0.970 1.917
6.697 12.224 3.438
4.400 5.423 9.846
4.501 7.131 10.224
6.791 10.482 3.964
7.821 2.448 1.262
6.859 7.589 3.943
5.586 2.056 7.560
4.627 10.046 10.352
4.309 10.164 12.023
6.591 7.514 5.679
7.712 5.612 2.714
5.474 11.943 9.042
6.166 8.477 7.560
8.511 9.141 1.250
-3.934 11.924 11.195
-1.677 5.644 4.932
-2.247 8.164 8.390
0.062 9.367 2.063
1.269 4.974 0.310
-0.947 12.643 6.587
-0.282 6.096 5.179
-2.469 11.522 11.543
-1.296 2.827 9.688
1.010 1.613 3.439
2.678 5.418 0.594
0.436 12.175 6.907
0.439 11.478 8.273
2.758 6.064 1.922
1.292 0.380 7.027
3.623 4.172 0.689
3.153 12.985 2.375
0.932 4.634 8.651
3.040 9.341 4.398
0.789 8.276 10.799
0.450 7.477 12.086
2.732 10.199 5.742
2.687 9.134 6.834
5.017 8.463 0.567
3.857 11.144 5.928
1.600 6.434 12.258
3.940 4.601 5.860
1.696 13.077 12.123
2.842 1.911 11.195
5.171 2.622 4.898
2.835 0.927 12.349
5.121 3.637 6.055
4.749 2.829 7.354
7.081 1.673 0.982
4.662 6.416 9.415
6.921 11.201 3.106
6.518 6.966 4.784
4.249 10.677 11.158
7.371 4.971 3.471
5.134 12.663 9.886
-2.057 5.172 7.846
0.236 12.421 1.593
0.770 11.762 3.919
-1.462 5.942 10.206

***

(Q)
Si2H25C10N (PBE-GGA, relaxed); space-group type = P2_1/c
1.0
9.085 0.000 0.000
0.000 13.129 0.000
-4.542 0.000 12.650
Si H C N
8 100 40 4
Cartesian
0.834 0.930 0.095
-1.437 5.634 6.420
-1.770 7.637 9.085
0.501 12.056 2.760
4.041 1.073 9.890
6.312 5.492 3.565
5.980 7.495 6.230
3.709 12.199 12.555
-1.701 9.357 5.337
-3.972 10.336 11.662
-0.383 7.807 1.697
-2.654 11.886 8.022
-0.699 7.637 3.437
-2.970 12.056 9.762
-2.731 8.790 9.209
-0.460 10.903 2.884
-1.602 3.163 6.190
-3.873 3.402 12.515
-2.346 0.313 8.827
-0.074 6.252 2.502
-3.001 8.004 11.895
-0.729 11.689 5.570
1.123 2.967 1.516
-1.148 3.597 7.841
-0.372 0.129 6.324
-2.643 6.436 12.649
0.760 1.972 3.333
-1.511 4.592 9.658
0.444 2.041 5.077
-1.827 4.524 11.402
1.782 9.629 1.516
-0.489 10.064 7.842
-1.696 1.584 11.439
0.575 4.981 5.114
0.664 6.695 5.578
-1.607 12.998 11.903
0.296 8.616 7.153
2.567 11.077 0.828
1.445 9.381 3.973
-0.826 10.313 10.298
-1.313 7.483 12.132
0.959 12.210 5.807
3.305 1.144 0.439
1.854 1.145 4.472
1.034 5.421 6.764
-0.418 5.419 10.798
0.216 1.469 9.309
2.487 5.095 2.984
-0.330 9.039 11.436
1.941 10.654 5.111
1.246 9.777 8.112
3.517 9.917 1.787
1.200 6.792 8.729
3.471 12.902 2.404
1.336 0.362 8.489
3.647 3.131 2.056
1.375 3.433 8.381
3.608 6.203 2.164
0.935 6.926 10.486
3.167 9.695 4.269
0.896 9.998 10.594
3.206 12.767 4.161
1.071 0.227 10.246
3.342 6.337 3.921
1.026 3.212 10.863
3.297 3.352 4.538
2.602 2.475 7.539
4.873 4.089 1.214
2.056 8.033 9.666
4.327 11.660 3.341
4.960 7.709 1.853
3.509 7.708 5.886
2.689 11.984 8.178
1.238 11.985 12.211
3.584 0.919 6.843
5.855 5.645 0.518
5.368 2.816 2.352
3.097 3.748 8.677
1.976 2.052 11.822
4.247 4.512 5.497
6.150 0.131 0.747
3.879 6.433 7.072
3.967 8.148 7.536
6.238 11.545 1.211
5.032 3.065 4.809
2.761 3.499 11.134
6.370 8.605 1.248
4.099 11.088 7.573
6.054 8.537 2.992
3.783 11.156 9.317
7.185 6.693 0.001
4.914 13.000 6.326
5.691 9.531 4.809
3.420 10.162 11.134
5.272 1.440 7.080
7.543 5.125 0.755
4.617 6.877 10.148
6.888 12.816 3.823
8.416 9.727 0.135
6.145 9.966 6.460
5.003 2.225 9.766
7.274 4.339 3.441
7.512 1.073 2.888
5.241 5.492 9.213
7.197 1.243 4.628
4.926 5.322 10.953
8.515 2.793 0.988
6.244 3.772 7.313
-0.757 7.115 2.470
-3.028 12.578 8.795
0.474 2.680 0.674
-1.797 3.884 7.000
-0.067 0.129 4.170
-2.338 6.435 10.495
-2.320 7.140 11.864
-0.049 12.554 5.538
0.803 1.389 4.264
-1.468 5.175 10.589
-1.897 0.867 12.252
0.374 5.697 5.927
0.265 9.284 8.027
2.536 10.409 1.702
-0.043 8.501 9.314
2.228 11.192 2.989
-0.089 9.515 10.476
2.182 10.178 4.151
1.095 7.502 9.563
3.366 12.191 3.238
1.177 0.938 9.412
3.448 5.626 3.087
2.360 2.951 8.499
4.631 3.614 2.174
2.314 1.937 9.661
4.585 4.628 3.336
2.007 2.720 10.948
4.278 3.845 4.623
4.169 7.432 6.723
6.440 12.262 0.398
6.011 7.954 2.061
3.740 11.740 8.386
4.592 0.575 7.112
6.863 5.989 0.787
6.881 6.693 2.155
4.610 13.000 8.480
6.339 9.245 5.651
4.068 10.448 11.976
7.571 0.551 3.855
5.300 6.014 10.180
-1.991 6.932 7.492
0.280 12.761 1.167
4.263 0.368 11.483
6.534 6.197 5.158

***

Energies relative to the minimum, meV per atom: (P) 25; (Q) 0